<A>
## V3O2F6 (PBE with a Hubbard U)

Data for a geometry-optimized V3O2F6 structure.

Unit cell a=5.5388 b=4.7560 c=10.4360 alpha=90.00 beta=96.24 gamma=90.00
Sites, in units of the cell vectors:
V  0.0000  0.2303  0.0000
V  0.0000  0.7697  0.5000
V  0.5350  0.2655  0.5108
V  0.5350  0.7345  0.0108
V  0.7767  0.2506  0.2538
V  0.7767  0.7494  0.7538
O  0.7601  0.4402  0.0790
O  0.7601  0.5598  0.5790
O  0.8096  0.0447  0.4320
O  0.8096  0.9553  0.9320
F  0.0541  0.0755  0.1735
F  0.0541  0.9245  0.6735
F  0.2495  0.4879  0.5591
F  0.2495  0.5121  0.0591
F  0.2956  0.0288  0.9484
F  0.2956  0.9712  0.4484
F  0.5034  0.4207  0.3335
F  0.5034  0.5793  0.8335
F  0.5774  0.0615  0.6791
F  0.5774  0.9385  0.1791
F  0.9800  0.4451  0.8373
F  0.9800  0.5549  0.3373

* total magnetization: 0.45 μB per atom
* space-group type: Pc
* crystal system: monoclinic

<B>
## V3O2F6 (PBE with a Hubbard U)

Data for a geometry-optimized V3O2F6 structure.

Unit cell a=5.1988 b=7.1995 c=7.6312 alpha=101.34 beta=90.90 gamma=90.33
Sites, in units of the cell vectors:
V  0.2203  0.3392  0.1825
V  0.2407  0.3236  0.6878
V  0.2632  0.8289  0.6759
V  0.7368  0.1711  0.3241
V  0.7593  0.6764  0.3122
V  0.7797  0.6608  0.8175
O  0.1030  0.5771  0.7001
O  0.3489  0.0583  0.6744
O  0.6511  0.9417  0.3256
O  0.8970  0.4229  0.2999
F  0.0532  0.0917  0.1916
F  0.0820  0.7866  0.4422
F  0.1060  0.3222  0.9316
F  0.4097  0.3102  0.4329
F  0.4239  0.5725  0.1999
F  0.4632  0.8067  0.8917
F  0.5368  0.1933  0.1083
F  0.5761  0.4275  0.8001
F  0.5903  0.6898  0.5671
F  0.8940  0.6778  0.0684
F  0.9180  0.2134  0.5578
F  0.9468  0.9083  0.8084

* total magnetization: 0.45 μB per atom
* space-group type: P-1
* crystal system: triclinic

If we sort the structures by their calculated energies, the order from most to least stable is <A>, <B>.

<A>
## MgZnCo4O8 (PBE with a Hubbard U)

Data for a geometry-optimized MgZnCo4O8 structure.

Unit cell a=2.9374 b=7.9410 c=8.0302 alpha=66.99 beta=79.51 gamma=79.44
Sites, in units of the cell vectors:
Mg  0.0000  0.0000  0.0000
Zn  0.2310  0.3370  0.1984
Co  0.2156  0.7000  0.8677
Co  0.3389  0.9555  0.3716
Co  0.6354  0.0842  0.6440
Co  0.8906  0.3648  0.8536
O  0.0353  0.2068  0.7215
O  0.2337  0.9105  0.6186
O  0.3742  0.5106  0.7402
O  0.3947  0.2048  0.0054
O  0.6063  0.8793  0.9069
O  0.7155  0.1870  0.3760
O  0.7414  0.4947  0.0225
O  0.9242  0.8806  0.2739

* total magnetization: 0.80 μB per atom
* space-group type: P1
* crystal system: triclinic

<B>
## MgZnCo4O8 (PBE with a Hubbard U)

Data for a geometry-optimized MgZnCo4O8 structure.

Unit cell a=3.0722 b=7.2937 c=7.6434 alpha=94.93 beta=101.52 gamma=102.12
Sites, in units of the cell vectors:
Mg  0.0000  0.0000  0.0000
Zn  0.4941  0.3426  0.6426
Co  0.1864  0.0385  0.3363
Co  0.2903  0.6063  0.9738
Co  0.6700  0.7535  0.5880
Co  0.8370  0.3920  0.2840
O  0.1002  0.3891  0.8087
O  0.2057  0.2411  0.1722
O  0.2093  0.8915  0.5286
O  0.4864  0.5251  0.4501
O  0.5398  0.9276  0.1529
O  0.8000  0.7634  0.8363
O  0.8299  0.2090  0.4543
O  0.8389  0.5604  0.1179

* total magnetization: 1.00 μB per atom
* space-group type: P1
* crystal system: triclinic

If we sort the structures by their calculated energies, the order from most to least stable is <A>, <B>.

<A>
## P4WO12 (PBE with a Hubbard U)

Data for a geometry-optimized P4WO12 structure.

Unit cell a=8.5256 b=8.5256 c=9.6697 alpha=118.16 beta=118.16 gamma=51.65
Sites, in units of the cell vectors:
P  0.0600  0.1961  0.1336
P  0.1882  0.5309  0.3279
P  0.1961  0.0600  0.6336
P  0.4691  0.8118  0.1721
P  0.5309  0.1882  0.8279
P  0.8039  0.9400  0.3664
P  0.8118  0.4691  0.6721
P  0.9400  0.8039  0.8664
W  0.3574  0.6426  0.7500
W  0.6426  0.3574  0.2500
O  0.0051  0.1397  0.9558
O  0.0166  0.2657  0.7202
O  0.0963  0.7096  0.7736
O  0.1335  0.3600  0.2002
O  0.1397  0.0051  0.4558
O  0.2349  0.5317  0.4990
O  0.2657  0.0166  0.2202
O  0.2904  0.9037  0.7264
O  0.3600  0.1335  0.7002
O  0.3596  0.4957  0.2871
O  0.4683  0.7651  0.0010
O  0.4957  0.3596  0.7871
O  0.5043  0.6404  0.2129
O  0.5317  0.2349  0.9990
O  0.6404  0.5043  0.7129
O  0.6400  0.8665  0.2998
O  0.7096  0.0963  0.2736
O  0.7343  0.9834  0.7798
O  0.7651  0.4683  0.5010
O  0.8603  0.9949  0.5442
O  0.8665  0.6400  0.7998
O  0.9037  0.2904  0.2264
O  0.9834  0.7343  0.2798
O  0.9949  0.8603  0.0442

* total magnetization: 0.12 μB per atom
* space-group type: C2/c
* crystal system: monoclinic

<B>
## P4WO12 (PBE with a Hubbard U)

Data for a geometry-optimized P4WO12 structure.

Unit cell a=7.3505 b=7.3505 c=10.4547 alpha=114.47 beta=114.47 gamma=69.58
Sites, in units of the cell vectors:
P  0.1868  0.2143  0.6959
P  0.2143  0.1868  0.1959
P  0.2286  0.7530  0.5199
P  0.2470  0.7714  0.9801
P  0.7530  0.2286  0.0199
P  0.7714  0.2470  0.4801
P  0.7857  0.8132  0.8041
P  0.8132  0.7857  0.3041
W  0.4469  0.5531  0.2500
W  0.5531  0.4469  0.7500
O  0.0026  0.2757  0.5554
O  0.0323  0.7852  0.8550
O  0.1434  0.3079  0.8369
O  0.2148  0.9677  0.6450
O  0.2437  0.6968  0.0937
O  0.2500  0.3725  0.1860
O  0.2757  0.0026  0.0554
O  0.3032  0.7563  0.4063
O  0.3079  0.1434  0.3369
O  0.3441  0.5908  0.5944
O  0.3725  0.2500  0.6860
O  0.4092  0.6559  0.9056
O  0.5908  0.3441  0.0944
O  0.6275  0.7500  0.3140
O  0.6559  0.4092  0.4056
O  0.6921  0.8566  0.6631
O  0.6968  0.2437  0.5937
O  0.7243  0.9974  0.9446
O  0.7500  0.6275  0.8140
O  0.7563  0.3032  0.9063
O  0.7852  0.0323  0.3550
O  0.8566  0.6921  0.1631
O  0.9677  0.2148  0.1450
O  0.9974  0.7243  0.4446

* space-group type: C2/c
* crystal system: monoclinic

If we sort the structures by their calculated energies, the order from most to least stable is <B>, <A>.